Run a
Here is a relaxed structure of Ca2Mn3P3H6O17 from the Materials Project database. Energies are from PBE with a Hubbard U.

Geometry as CIF:
```
data_Ca2Mn3P3H6O17
_cell_length_a 8.869
_cell_length_b 13.478
_cell_length_c 11.306
_cell_angle_alpha 90.00
_cell_angle_beta 102.03
_cell_angle_gamma 90.00
_space_group_name_H-M_alt 'P 1'
_space_group_IT_number 1
_space_group_name_Hall 'P 1'
loop_
_atom_site_label
_atom_site_fract_x
_atom_site_fract_y
_atom_site_fract_z
Ca1 0.340 0.127 0.067
Ca2 0.660 0.627 0.433
Ca3 0.660 0.873 0.933
Ca4 0.340 0.373 0.567
Ca5 0.665 0.379 0.857
Ca6 0.335 0.879 0.643
Ca7 0.335 0.621 0.143
Ca8 0.665 0.121 0.357
Mn1 0.000 0.500 0.500
Mn2 0.000 0.000 0.000
Mn3 0.000 0.500 0.000
Mn4 0.000 0.000 0.500
Mn5 0.015 0.369 0.738
Mn6 0.985 0.869 0.762
Mn7 0.985 0.631 0.262
Mn8 0.015 0.131 0.238
Mn9 0.017 0.269 0.994
Mn10 0.983 0.769 0.506
Mn11 0.983 0.731 0.006
Mn12 0.017 0.231 0.494
P1 0.300 0.391 0.949
P2 0.700 0.891 0.551
P3 0.700 0.609 0.051
P4 0.300 0.109 0.449
P5 0.084 0.381 0.277
P6 0.916 0.881 0.223
P7 0.916 0.619 0.723
P8 0.084 0.119 0.777
P9 0.728 0.358 0.529
P10 0.272 0.858 0.971
P11 0.272 0.642 0.471
P12 0.728 0.142 0.029
H1 0.444 0.536 0.741
H2 0.556 0.036 0.759
H3 0.556 0.464 0.259
H4 0.444 0.964 0.241
H5 0.595 0.537 0.686
H6 0.405 0.037 0.814
H7 0.405 0.463 0.314
H8 0.595 0.963 0.186
H9 0.540 0.214 0.714
H10 0.460 0.714 0.786
H11 0.460 0.786 0.286
H12 0.540 0.286 0.214
H13 0.400 0.232 0.778
H14 0.600 0.732 0.722
H15 0.600 0.768 0.222
H16 0.400 0.268 0.278
H17 0.757 0.133 0.704
H18 0.243 0.633 0.796
H19 0.243 0.867 0.296
H20 0.757 0.367 0.204
H21 0.601 0.115 0.601
H22 0.399 0.615 0.899
H23 0.399 0.885 0.399
H24 0.601 0.385 0.101
O1 0.475 0.390 0.970
O2 0.525 0.890 0.530
O3 0.525 0.610 0.030
O4 0.475 0.110 0.470
O5 0.241 0.297 0.007
O6 0.759 0.797 0.493
O7 0.759 0.703 0.993
O8 0.241 0.203 0.507
O9 0.238 0.486 0.004
O10 0.762 0.986 0.496
O11 0.762 0.514 0.996
O12 0.238 0.014 0.504
O13 0.233 0.389 0.809
O14 0.767 0.889 0.691
O15 0.767 0.611 0.191
O16 0.233 0.111 0.309
O17 0.258 0.382 0.330
O18 0.742 0.882 0.170
O19 0.742 0.618 0.670
O20 0.258 0.118 0.830
O21 0.007 0.284 0.310
O22 0.993 0.784 0.190
O23 0.993 0.716 0.690
O24 0.007 0.216 0.810
O25 0.035 0.390 0.137
O26 0.965 0.890 0.363
O27 0.965 0.610 0.863
O28 0.035 0.110 0.637
O29 0.003 0.471 0.329
O30 0.997 0.971 0.171
O31 0.997 0.529 0.671
O32 0.003 0.029 0.829
O33 0.555 0.354 0.498
O34 0.445 0.854 0.002
O35 0.445 0.646 0.502
O36 0.555 0.146 0.998
O37 0.794 0.262 0.476
O38 0.206 0.762 0.024
O39 0.206 0.738 0.524
O40 0.794 0.238 0.976
O41 0.790 0.359 0.670
O42 0.210 0.859 0.830
O43 0.210 0.641 0.330
O44 0.790 0.141 0.170
O45 0.784 0.455 0.473
O46 0.216 0.955 0.027
O47 0.216 0.545 0.527
O48 0.784 0.045 0.973
O49 0.951 0.389 0.894
O50 0.049 0.889 0.606
O51 0.049 0.611 0.106
O52 0.951 0.111 0.394
O53 0.071 0.352 0.580
O54 0.929 0.852 0.920
O55 0.929 0.648 0.420
O56 0.071 0.148 0.080
O57 0.518 0.491 0.711
O58 0.482 0.991 0.789
O59 0.482 0.509 0.289
O60 0.518 0.009 0.211
O61 0.473 0.268 0.738
O62 0.527 0.768 0.762
O63 0.527 0.732 0.262
O64 0.473 0.232 0.238
O65 0.646 0.124 0.690
O66 0.354 0.624 0.810
O67 0.354 0.876 0.310
O68 0.646 0.376 0.190
```

Run b
Here is a relaxed structure of Ca2Mn3P3H6O17 from the Materials Project database. Energies are from PBE with a Hubbard U.

Geometry as CIF:
```
data_Ca2Mn3P3H6O17
_cell_length_a 9.208
_cell_length_b 13.439
_cell_length_c 11.856
_cell_angle_alpha 90.00
_cell_angle_beta 104.96
_cell_angle_gamma 90.00
_space_group_name_H-M_alt 'P 1'
_space_group_IT_number 1
_space_group_name_Hall 'P 1'
loop_
_atom_site_label
_atom_site_fract_x
_atom_site_fract_y
_atom_site_fract_z
Ca1 0.342 0.125 0.052
Ca2 0.658 0.625 0.448
Ca3 0.658 0.875 0.948
Ca4 0.342 0.375 0.552
Ca5 0.654 0.380 0.908
Ca6 0.346 0.880 0.592
Ca7 0.346 0.620 0.092
Ca8 0.654 0.120 0.408
Mn1 0.000 0.500 0.500
Mn2 0.000 0.000 0.000
Mn3 0.000 0.500 0.000
Mn4 0.000 0.000 0.500
Mn5 0.000 0.376 0.738
Mn6 0.000 0.876 0.762
Mn7 0.000 0.624 0.262
Mn8 0.000 0.124 0.238
Mn9 0.001 0.260 0.985
Mn10 0.999 0.760 0.515
Mn11 0.999 0.740 0.015
Mn12 0.001 0.240 0.485
P1 0.276 0.379 0.952
P2 0.724 0.879 0.548
P3 0.724 0.621 0.048
P4 0.276 0.121 0.452
P5 0.052 0.376 0.261
P6 0.948 0.876 0.239
P7 0.948 0.624 0.739
P8 0.052 0.124 0.761
P9 0.726 0.369 0.518
P10 0.274 0.869 0.982
P11 0.274 0.631 0.482
P12 0.726 0.131 0.018
H1 0.386 0.541 0.761
H2 0.614 0.041 0.739
H3 0.614 0.459 0.239
H4 0.386 0.959 0.261
H5 0.650 0.460 0.690
H6 0.350 0.960 0.810
H7 0.350 0.540 0.310
H8 0.650 0.040 0.190
H9 0.694 0.198 0.731
H10 0.306 0.698 0.769
H11 0.306 0.802 0.269
H12 0.694 0.302 0.231
H13 0.288 0.173 0.788
H14 0.712 0.673 0.712
H15 0.712 0.827 0.212
H16 0.288 0.327 0.288
H17 0.690 0.254 0.729
H18 0.310 0.754 0.771
H19 0.310 0.746 0.271
H20 0.690 0.246 0.229
H21 0.557 0.085 0.614
H22 0.443 0.585 0.886
H23 0.443 0.915 0.386
H24 0.557 0.415 0.114
O1 0.446 0.374 0.981
O2 0.554 0.874 0.519
O3 0.554 0.626 0.019
O4 0.446 0.126 0.481
O5 0.221 0.285 0.010
O6 0.779 0.785 0.490
O7 0.779 0.715 0.990
O8 0.221 0.215 0.510
O9 0.219 0.474 0.004
O10 0.781 0.974 0.496
O11 0.781 0.526 0.996
O12 0.219 0.026 0.504
O13 0.208 0.371 0.817
O14 0.792 0.871 0.683
O15 0.792 0.629 0.183
O16 0.208 0.129 0.317
O17 0.235 0.378 0.319
O18 0.765 0.878 0.181
O19 0.765 0.622 0.681
O20 0.235 0.122 0.819
O21 0.993 0.279 0.302
O22 0.007 0.779 0.198
O23 0.007 0.721 0.698
O24 0.993 0.221 0.802
O25 0.021 0.379 0.128
O26 0.979 0.879 0.372
O27 0.979 0.621 0.872
O28 0.021 0.121 0.628
O29 0.000 0.468 0.315
O30 0.000 0.968 0.185
O31 0.000 0.532 0.685
O32 0.000 0.032 0.815
O33 0.556 0.368 0.485
O34 0.444 0.868 0.015
O35 0.444 0.632 0.515
O36 0.556 0.132 0.985
O37 0.788 0.271 0.476
O38 0.212 0.771 0.024
O39 0.212 0.729 0.524
O40 0.788 0.229 0.976
O41 0.790 0.379 0.653
O42 0.210 0.879 0.847
O43 0.210 0.621 0.347
O44 0.790 0.121 0.153
O45 0.782 0.464 0.462
O46 0.218 0.964 0.038
O47 0.218 0.536 0.538
O48 0.782 0.036 0.962
O49 0.939 0.387 0.896
O50 0.061 0.887 0.604
O51 0.061 0.613 0.104
O52 0.939 0.113 0.396
O53 0.058 0.366 0.571
O54 0.942 0.866 0.929
O55 0.942 0.634 0.429
O56 0.058 0.134 0.071
O57 0.565 0.473 0.726
O58 0.435 0.973 0.774
O59 0.435 0.527 0.274
O60 0.565 0.027 0.226
O61 0.501 0.371 0.729
O62 0.499 0.871 0.771
O63 0.499 0.629 0.271
O64 0.501 0.129 0.229
O65 0.647 0.059 0.669
O66 0.353 0.559 0.831
O67 0.353 0.941 0.331
O68 0.647 0.441 0.169
```

Stability verdict: run a, ahead by 200 meV per atom

Run a
Here is a relaxed structure of KCaLaWO6 from the Materials Project database. Energies are from PBE with a Hubbard U.

Geometry as CIF:
```
data_KCaLaWO6
_cell_length_a 6.080
_cell_length_b 6.080
_cell_length_c 6.080
_cell_angle_alpha 60.00
_cell_angle_beta 60.00
_cell_angle_gamma 60.00
_space_group_name_H-M_alt 'P 1'
_space_group_IT_number 1
_space_group_name_Hall 'P 1'
loop_
_atom_site_label
_atom_site_fract_x
_atom_site_fract_y
_atom_site_fract_z
K1 0.250 0.250 0.250
Ca1 0.750 0.750 0.750
La1 0.000 0.000 0.000
W1 0.500 0.500 0.500
O1 0.727 0.273 0.273
O2 0.273 0.727 0.727
O3 0.727 0.273 0.727
O4 0.273 0.727 0.273
O5 0.727 0.727 0.273
O6 0.273 0.273 0.727
```

Run b
Here is a relaxed structure of KCaLaWO6 from the Materials Project database. Energies are from PBE with a Hubbard U.

Geometry as CIF:
```
data_KCaLaWO6
_cell_length_a 5.899
_cell_length_b 5.899
_cell_length_c 5.899
_cell_angle_alpha 60.00
_cell_angle_beta 60.00
_cell_angle_gamma 60.00
_space_group_name_H-M_alt 'P 1'
_space_group_IT_number 1
_space_group_name_Hall 'P 1'
loop_
_atom_site_label
_atom_site_fract_x
_atom_site_fract_y
_atom_site_fract_z
K1 0.250 0.250 0.250
Ca1 0.000 0.000 0.000
La1 0.750 0.750 0.750
W1 0.500 0.500 0.500
O1 0.733 0.267 0.267
O2 0.267 0.733 0.733
O3 0.733 0.267 0.733
O4 0.267 0.733 0.267
O5 0.733 0.733 0.267
O6 0.267 0.267 0.733
```

Stability verdict: run b, ahead by 30 meV per atom

Run a
Here is a relaxed structure of Ca3LaMn4O12 from the Materials Project database. Energies are from PBE with a Hubbard U.

Geometry as CIF:
```
data_Ca3LaMn4O12
_cell_length_a 5.456
_cell_length_b 5.420
_cell_length_c 7.654
_cell_angle_alpha 90.00
_cell_angle_beta 90.00
_cell_angle_gamma 90.12
_space_group_name_H-M_alt 'P 1'
_space_group_IT_number 1
_space_group_name_Hall 'P 1'
loop_
_atom_site_label
_atom_site_fract_x
_atom_site_fract_y
_atom_site_fract_z
Ca1 0.464 0.490 0.750
Ca2 0.958 0.009 0.750
Ca3 0.539 0.509 0.250
La1 0.029 0.995 0.250
Mn1 0.500 0.000 0.996
Mn2 0.001 0.500 0.505
Mn3 0.500 0.000 0.504
Mn4 0.001 0.500 0.995
O1 0.211 0.210 0.962
O2 0.716 0.284 0.541
O3 0.782 0.783 0.465
O4 0.284 0.716 0.043
O5 0.782 0.782 0.035
O6 0.284 0.716 0.456
O7 0.211 0.210 0.538
O8 0.716 0.284 0.959
O9 0.026 0.579 0.750
O10 0.517 0.919 0.750
O11 0.983 0.437 0.250
O12 0.494 0.076 0.250
```

Run b
Here is a relaxed structure of Ca3LaMn4O12 from the Materials Project database. Energies are from PBE with a Hubbard U.

Geometry as CIF:
```
data_Ca3LaMn4O12
_cell_length_a 5.426
_cell_length_b 5.415
_cell_length_c 7.670
_cell_angle_alpha 89.97
_cell_angle_beta 89.67
_cell_angle_gamma 91.24
_space_group_name_H-M_alt 'P 1'
_space_group_IT_number 1
_space_group_name_Hall 'P 1'
loop_
_atom_site_label
_atom_site_fract_x
_atom_site_fract_y
_atom_site_fract_z
Ca1 0.464 0.487 0.747
Ca2 0.960 0.006 0.748
Ca3 0.537 0.511 0.253
La1 0.028 0.999 0.253
Mn1 0.500 0.999 0.505
Mn2 0.000 0.501 0.995
Mn3 0.500 0.000 0.995
Mn4 0.001 0.500 0.506
O1 0.028 0.579 0.760
O2 0.518 0.917 0.751
O3 0.979 0.438 0.241
O4 0.494 0.079 0.248
O5 0.214 0.210 0.961
O6 0.223 0.196 0.538
O7 0.716 0.284 0.541
O8 0.717 0.283 0.954
O9 0.772 0.796 0.465
O10 0.781 0.783 0.036
O11 0.284 0.717 0.047
O12 0.285 0.714 0.458
```

Stability verdict: run a, ahead by 12 meV per atom

Run a
Here is a relaxed structure of CaLa4Ni3WO12 from the Materials Project database. Energies are from PBE with a Hubbard U.

Geometry as CIF:
```
data_CaLa4Ni3WO12
_cell_length_a 5.653
_cell_length_b 8.862
_cell_length_c 5.685
_cell_angle_alpha 90.00
_cell_angle_beta 90.03
_cell_angle_gamma 90.00
_space_group_name_H-M_alt 'P 1'
_space_group_IT_number 1
_space_group_name_Hall 'P 1'
loop_
_atom_site_label
_atom_site_fract_x
_atom_site_fract_y
_atom_site_fract_z
Ca1 0.000 0.000 0.500
La1 0.500 0.224 0.000
La2 0.000 0.672 0.500
La3 0.500 0.776 0.000
La4 0.000 0.328 0.500
Ni1 0.000 0.000 0.000
Ni2 0.500 0.500 0.500
Ni3 0.000 0.500 0.000
W1 0.500 0.000 0.500
O1 0.000 0.246 0.000
O2 0.500 0.765 0.500
O3 0.233 0.500 0.271
O4 0.726 0.000 0.777
O5 0.233 0.500 0.729
O6 0.726 0.000 0.223
O7 0.000 0.754 0.000
O8 0.500 0.235 0.500
O9 0.767 0.500 0.729
O10 0.274 0.000 0.223
O11 0.767 0.500 0.271
O12 0.274 0.000 0.777
```

Run b
Here is a relaxed structure of CaLa4Ni3WO12 from the Materials Project database. Energies are from PBE with a Hubbard U.

Geometry as CIF:
```
data_CaLa4Ni3WO12
_cell_length_a 5.557
_cell_length_b 9.145
_cell_length_c 5.761
_cell_angle_alpha 90.00
_cell_angle_beta 89.77
_cell_angle_gamma 90.00
_space_group_name_H-M_alt 'P 1'
_space_group_IT_number 1
_space_group_name_Hall 'P 1'
loop_
_atom_site_label
_atom_site_fract_x
_atom_site_fract_y
_atom_site_fract_z
Ca1 0.500 0.500 0.000
La1 0.500 0.177 0.000
La2 0.000 0.690 0.500
La3 0.500 0.823 0.000
La4 0.000 0.310 0.500
Ni1 0.000 0.000 0.000
Ni2 0.500 0.500 0.500
Ni3 0.000 0.500 0.000
W1 0.500 0.000 0.500
O1 0.000 0.253 0.000
O2 0.500 0.769 0.500
O3 0.229 0.500 0.277
O4 0.720 0.000 0.789
O5 0.230 0.500 0.724
O6 0.735 0.000 0.235
O7 0.000 0.747 0.000
O8 0.500 0.231 0.500
O9 0.771 0.500 0.723
O10 0.280 0.000 0.211
O11 0.770 0.500 0.276
O12 0.265 0.000 0.765
```

Stability verdict: run b, ahead by 43 meV per atom